1.
A relaxed DyAl3 crystal, computed with meta-GGA r2SCAN.

Cell lengths 6.2430, 6.2431, 4.5872 Å; angles 90.00, 90.00, 120.00 degrees
With the nearest neighbours (Å) after each atom.
Atoms (fractional coordinates):
Dy (0.3333, 0.6667, 0.7500)  12 Al 3.06-3.13
Al (0.2921, 0.1461, 0.7500)  6 Al 2.74-2.78, 2 Dy 3.06
Al (0.1461, 0.8540, 0.2500)  6 Al 2.74-2.78, 2 Dy 3.06
Al (0.1461, 0.2921, 0.2500)  6 Al 2.74-2.78, 2 Dy 3.06
Dy (0.6667, 0.3333, 0.2500)  12 Al 3.06-3.13
Al (0.7079, 0.8539, 0.2500)  6 Al 2.74-2.78, 2 Dy 3.06
Al (0.8539, 0.7079, 0.7500)  6 Al 2.74-2.78, 2 Dy 3.06
Al (0.8539, 0.1460, 0.7500)  6 Al 2.74-2.78, 2 Dy 3.06

Results
Total magnetic moment (μB per formula unit): 0.00
Energy relative to the elements (eV/atom): -0.481
Volume (A^3/atom): 19.4
Symmetry: P6_3/mmc (194)
Electronic total energy (Ry/atom): -0.9941
Crystal system: hexagonal

2.
A relaxed DyAl3 crystal, computed with meta-GGA r2SCAN.

Cell lengths 6.0815, 6.0815, 9.5133 Å; angles 90.00, 90.00, 120.00 degrees
With the nearest neighbours (Å) after each atom.
Atoms (fractional coordinates):
Al (0.1834, 0.3668, 0.7500)  6 Al 2.74-2.91, 2 Dy 3.05
Dy (0.3333, 0.6667, 0.2500)  12 Al 2.96-3.05
Al (0.8166, 0.6332, 0.2500)  6 Al 2.74-2.91, 2 Dy 3.05
Dy (0.6667, 0.3333, 0.7500)  12 Al 2.96-3.05
Al (0.1834, 0.8166, 0.7500)  6 Al 2.74-2.91, 2 Dy 3.05
Al (0.6332, 0.8166, 0.7500)  6 Al 2.74-2.91, 2 Dy 3.05
Dy (0.0000, 0.0000, 0.0000)  12 Al 3.04-3.06
Al (0.5000, 0.0000, 0.0000)  8 Al 2.91-3.04, 4 Dy 2.96-3.04
Al (0.0000, 0.5000, 0.0000)  8 Al 2.91-3.04, 4 Dy 2.96-3.04
Al (0.3668, 0.1834, 0.2500)  6 Al 2.74-2.91, 2 Dy 3.05
Al (0.0000, 0.5000, 0.5000)  8 Al 2.91-3.04, 4 Dy 2.96-3.04
Al (0.5000, 0.5000, 0.5000)  8 Al 2.91-3.04, 4 Dy 2.96-3.04
Al (0.5000, 0.5000, 0.0000)  8 Al 2.91-3.04, 4 Dy 2.96-3.04
Al (0.8166, 0.1834, 0.2500)  6 Al 2.74-2.91, 2 Dy 3.05
Al (0.5000, 0.0000, 0.5000)  8 Al 2.91-3.04, 4 Dy 2.96-3.04
Dy (0.0000, 0.0000, 0.5000)  12 Al 3.04-3.06

Results
Total magnetic moment (μB per formula unit): 0.00
Energy relative to the elements (eV/atom): -0.470
Volume (A^3/atom): 19.0
Symmetry: P6_3/mmc (194)
Electronic total energy (Ry/atom): -0.9933
Crystal system: hexagonal

3.
A relaxed DyAl2 crystal, computed with meta-GGA r2SCAN.

Cell lengths 5.5336, 5.5336, 5.5336 Å; angles 60.00, 60.00, 60.00 degrees
With the nearest neighbours (Å) after each atom.
Atoms (fractional coordinates):
Dy (0.8750, 0.8750, 0.8750)  12 Al 3.24, 4 Dy 3.39
Al (0.5000, 0.5000, 0.5000)  6 Al 2.77
Dy (0.1250, 0.1250, 0.1250)  12 Al 3.24, 4 Dy 3.39
Al (0.0000, 0.5000, 0.5000)  6 Al 2.77
Al (0.5000, 0.0000, 0.5000)  6 Al 2.77
Al (0.5000, 0.5000, 0.0000)  6 Al 2.77

Results
Total magnetic moment (μB per formula unit): 0.00
Energy relative to the elements (eV/atom): -0.587
Volume (A^3/atom): 20.0
Symmetry: Fd-3m (227)
Electronic total energy (Ry/atom): -1.1565
Crystal system: cubic

4.
A relaxed DyAl3 crystal, computed with meta-GGA r2SCAN.

Cell lengths 7.8454, 7.8454, 7.8454 Å; angles 46.30, 46.30, 46.30 degrees
With the nearest neighbours (Å) after each atom.
Atoms (fractional coordinates):
Al (0.7352, 0.2980, 0.2980)  6 Al 2.70-2.86, 1 Dy 3.01
Al (0.5000, 0.5000, 0.0000)  8 Al 2.86-3.08, 4 Dy 3.01-3.08
Dy (0.7824, 0.7824, 0.7824)  12 Al 3.01-3.09
Al (0.2980, 0.2980, 0.7352)  6 Al 2.70-2.86, 1 Dy 3.01
Al (0.0000, 0.5000, 0.5000)  8 Al 2.86-3.08, 4 Dy 3.01-3.08
Al (0.2648, 0.7020, 0.7020)  6 Al 2.70-2.86, 1 Dy 3.01
Dy (0.0000, 0.0000, 0.0000)  12 Al 3.06-3.08
Al (0.7020, 0.2648, 0.7020)  6 Al 2.70-2.86, 1 Dy 3.01
Dy (0.2176, 0.2176, 0.2176)  12 Al 3.01-3.09
Al (0.7020, 0.7020, 0.2648)  6 Al 2.70-2.86, 1 Dy 3.01
Al (0.2980, 0.7352, 0.2980)  6 Al 2.70-2.86, 1 Dy 3.01
Al (0.5000, 0.0000, 0.5000)  8 Al 2.86-3.08, 4 Dy 3.01-3.08

Results
Total magnetic moment (μB per formula unit): 0.00
Energy relative to the elements (eV/atom): -0.472
Volume (A^3/atom): 19.2
Symmetry: R-3m (166)
Electronic total energy (Ry/atom): -0.9935
Crystal system: trigonal